# 1
This record from the Materials Project describes an optimized crystal structure of Fe3O4. The functional is PBE with a Hubbard U.

Density: 4.90 g/cm3
Magnetic moment: 28.00 μB per cell
Calculated formation energy: -1.62 eV/atom

Cell: 6.035 6.047 10.499 Å, 90.22 106.44 119.77°
Sites, in units of the cell vectors:
Fe1 0.000 0.000 0.000
Fe2 0.000 0.000 0.500
Fe3 0.000 0.500 0.000
Fe4 0.000 0.500 0.500
Fe5 0.004 0.254 0.249
Fe6 0.372 0.433 0.809
Fe7 0.376 0.936 0.310
Fe8 0.500 0.000 0.000
Fe9 0.500 0.500 0.500
Fe10 0.624 0.064 0.690
Fe11 0.628 0.567 0.191
Fe12 0.996 0.746 0.751
O1 0.228 0.120 0.374
O2 0.231 0.608 0.371
O3 0.233 0.878 0.623
O4 0.240 0.369 0.132
O5 0.241 0.358 0.617
O6 0.254 0.107 0.876
O7 0.255 0.647 0.874
O8 0.255 0.877 0.116
O9 0.745 0.123 0.884
O10 0.745 0.353 0.126
O11 0.746 0.893 0.124
O12 0.759 0.642 0.383
O13 0.760 0.631 0.868
O14 0.767 0.122 0.377
O15 0.769 0.392 0.629
O16 0.772 0.880 0.626

# 2
This record from the Materials Project describes an optimized crystal structure of Fe2O5. The functional is PBE with a Hubbard U.

Density: 4.43 g/cm3
Magnetic moment: 24.00 μB per cell
Calculated formation energy: -0.84 eV/atom

Cell: 9.346 5.331 6.296 Å, 100.44 110.85 90.69°
Sites, in units of the cell vectors:
Fe1 0.197 0.301 0.292
Fe2 0.697 0.301 0.292
Fe3 0.059 0.203 0.720
Fe4 0.559 0.203 0.720
Fe5 0.303 0.699 0.708
Fe6 0.803 0.699 0.708
Fe7 0.441 0.797 0.280
Fe8 0.941 0.797 0.280
O1 0.359 0.376 0.584
O2 0.859 0.376 0.584
O3 0.071 0.127 0.410
O4 0.571 0.127 0.410
O5 0.141 0.624 0.416
O6 0.641 0.624 0.416
O7 0.429 0.873 0.590
O8 0.929 0.873 0.590
O9 0.459 0.737 0.982
O10 0.959 0.737 0.982
O11 0.041 0.263 0.018
O12 0.541 0.263 0.018
O13 0.183 0.533 0.830
O14 0.683 0.533 0.830
O15 0.256 0.992 0.178
O16 0.756 0.992 0.178
O17 0.317 0.467 0.170
O18 0.817 0.467 0.170
O19 0.244 0.008 0.822
O20 0.744 0.008 0.822

# 3
This record from the Materials Project describes an optimized crystal structure of Fe15O16. The functional is PBE with a Hubbard U.

Density: 5.29 g/cm3
Magnetic moment: 62.00 μB per cell
Polymorph energy (0 for the lowest one): 0 meV per atom
Calculated formation energy: -1.44 eV/atom

Cell: 6.247 6.265 8.768 Å, 90.38 90.45 90.09°
Sites, in units of the cell vectors:
Fe1 0.000 0.000 0.000
Fe2 0.000 0.497 0.006
Fe3 0.009 0.502 0.501
Fe4 0.016 0.997 0.506
Fe5 0.191 0.260 0.767
Fe6 0.262 0.754 0.754
Fe7 0.266 0.761 0.251
Fe8 0.267 0.246 0.259
Fe9 0.500 0.569 0.495
Fe10 0.511 0.495 0.997
Fe11 0.512 0.007 0.002
Fe12 0.550 0.212 0.630
Fe13 0.756 0.250 0.255
Fe14 0.759 0.762 0.254
Fe15 0.767 0.747 0.755
O1 0.010 0.014 0.245
O2 0.014 0.529 0.739
O3 0.016 0.992 0.760
O4 0.027 0.504 0.267
O5 0.226 0.742 0.501
O6 0.251 0.726 0.004
O7 0.262 0.265 0.519
O8 0.266 0.248 0.994
O9 0.498 0.997 0.244
O10 0.509 0.488 0.737
O11 0.512 0.491 0.266
O12 0.517 0.968 0.757
O13 0.749 0.750 0.012
O14 0.763 0.268 0.013
O15 0.781 0.731 0.495
O16 0.796 0.251 0.501

# 4
This record from the Materials Project describes an optimized crystal structure of Fe3O4. The functional is PBE with a Hubbard U.

Density: 5.15 g/cm3
Magnetic moment: 28.00 μB per cell
Calculated formation energy: -1.47 eV/atom

Cell: 5.921 5.921 5.101 Å, 104.20 104.20 60.63°
Sites, in units of the cell vectors:
Fe1 0.000 0.000 0.000
Fe2 0.251 0.251 0.504
Fe3 0.252 0.753 0.504
Fe4 0.506 0.506 0.010
Fe5 0.753 0.252 0.504
Fe6 0.754 0.754 0.515
O1 0.111 0.111 0.709
O2 0.152 0.616 0.749
O3 0.372 0.870 0.268
O4 0.396 0.396 0.293
O5 0.608 0.608 0.723
O6 0.616 0.152 0.749
O7 0.870 0.372 0.268
O8 0.898 0.898 0.305

# 5
This record from the Materials Project describes an optimized crystal structure of Fe11O12. The functional is PBE with a Hubbard U.

Density: 5.38 g/cm3
Magnetic moment: 46.00 μB per cell
Calculated formation energy: -1.48 eV/atom

Cell: 6.242 6.840 6.900 Å, 71.82 63.60 76.28°
Sites, in units of the cell vectors:
Fe1 0.000 0.000 0.000
Fe2 0.091 0.324 0.164
Fe3 0.173 0.675 0.328
Fe4 0.259 0.999 0.480
Fe5 0.336 0.324 0.677
Fe6 0.417 0.679 0.837
Fe7 0.583 0.321 0.163
Fe8 0.664 0.676 0.323
Fe9 0.741 0.001 0.520
Fe10 0.827 0.325 0.672
Fe11 0.909 0.676 0.836
O1 0.058 0.664 0.074
O2 0.099 0.996 0.266
O3 0.226 0.342 0.405
O4 0.296 0.658 0.598
O5 0.368 0.993 0.737
O6 0.456 0.361 0.919
O7 0.544 0.639 0.081
O8 0.632 0.007 0.263
O9 0.704 0.342 0.402
O10 0.774 0.658 0.595
O11 0.901 0.004 0.734
O12 0.942 0.336 0.926

# 6
This record from the Materials Project describes an optimized crystal structure of Fe3O4. The functional is PBE with a Hubbard U.

Density: 4.80 g/cm3
Magnetic moment: 112.00 μB per cell
Calculated formation energy: -1.60 eV/atom

Cell: 6.089 6.088 17.293 Å, 90.00 90.00 90.00°
Sites, in units of the cell vectors:
Fe1 0.000 0.001 0.125
Fe2 0.000 0.246 0.939
Fe3 0.000 0.258 0.441
Fe4 0.000 0.493 0.753
Fe5 0.000 0.507 0.253
Fe6 0.000 0.742 0.941
Fe7 0.000 0.754 0.439
Fe8 0.000 0.999 0.625
Fe9 0.251 0.500 0.064
Fe10 0.251 0.500 0.564
Fe11 0.253 0.008 0.313
Fe12 0.253 0.992 0.813
Fe13 0.500 0.002 0.500
Fe14 0.500 0.246 0.687
Fe15 0.500 0.258 0.185
Fe16 0.500 0.493 0.878
Fe17 0.500 0.507 0.378
Fe18 0.500 0.742 0.685
Fe19 0.500 0.754 0.187
Fe20 0.500 0.998 0.000
Fe21 0.747 0.008 0.313
Fe22 0.747 0.992 0.813
Fe23 0.749 0.500 0.064
Fe24 0.749 0.500 0.564
O1 0.000 0.225 0.815
O2 0.000 0.239 0.315
O3 0.000 0.248 0.558
O4 0.000 0.252 0.058
O5 0.000 0.748 0.558
O6 0.000 0.752 0.058
O7 0.000 0.761 0.815
O8 0.000 0.775 0.315
O9 0.220 0.494 0.938
O10 0.220 0.506 0.438
O11 0.226 0.006 0.429
O12 0.226 0.994 0.929
O13 0.263 0.004 0.192
O14 0.263 0.996 0.692
O15 0.266 0.495 0.692
O16 0.266 0.505 0.192
O17 0.500 0.215 0.805
O18 0.500 0.229 0.305
O19 0.500 0.255 0.073
O20 0.500 0.263 0.574
O21 0.500 0.737 0.074
O22 0.500 0.745 0.573
O23 0.500 0.771 0.805
O24 0.500 0.785 0.305
O25 0.734 0.495 0.692
O26 0.734 0.505 0.192
O27 0.737 0.004 0.192
O28 0.737 0.996 0.692
O29 0.774 0.006 0.429
O30 0.774 0.994 0.929
O31 0.780 0.494 0.938
O32 0.780 0.506 0.438

# 7
This record from the Materials Project describes an optimized crystal structure of Fe3O4. The functional is PBE with a Hubbard U.

Density: 4.09 g/cm3
Magnetic moment: 24.00 μB per cell
Calculated formation energy: -0.94 eV/atom

Cell: 6.433 6.433 6.433 Å, 60.00 60.00 60.00°
Sites, in units of the cell vectors:
Fe1 0.000 0.000 0.000
Fe2 0.146 0.146 0.146
Fe3 0.146 0.146 0.562
Fe4 0.146 0.562 0.146
Fe5 0.500 0.500 0.500
Fe6 0.562 0.146 0.146
O1 0.330 0.890 0.890
O2 0.372 0.372 0.372
O3 0.372 0.372 0.883
O4 0.372 0.883 0.372
O5 0.883 0.372 0.372
O6 0.890 0.330 0.890
O7 0.890 0.890 0.330
O8 0.890 0.890 0.890

# 8
This record from the Materials Project describes an optimized crystal structure of FeO. The functional is PBE with a Hubbard U.

Density: 4.44 g/cm3
Magnetic moment: 16.15 μB per cell
Calculated formation energy: -1.02 eV/atom

Cell: 3.403 3.403 10.718 Å, 90.00 90.00 120.00°
Sites, in units of the cell vectors:
Fe1 0.000 0.000 0.000
Fe2 0.000 0.000 0.500
Fe3 0.333 0.667 0.248
Fe4 0.667 0.333 0.748
O1 0.000 0.000 0.303
O2 0.000 0.000 0.803
O3 0.333 0.667 0.054
O4 0.667 0.333 0.554

# 9
This record from the Materials Project describes an optimized crystal structure of Fe3O4. The functional is PBE with a Hubbard U.

Density: 4.91 g/cm3
Magnetic moment: 56.00 μB per cell
Calculated formation energy: -1.57 eV/atom

Cell: 6.122 6.007 8.509 Å, 90.00 90.50 90.00°
Sites, in units of the cell vectors:
Fe1 0.000 0.000 0.000
Fe2 0.000 0.500 0.500
Fe3 0.242 0.000 0.624
Fe4 0.251 0.247 0.248
Fe5 0.251 0.753 0.248
Fe6 0.255 0.500 0.872
Fe7 0.500 0.000 0.000
Fe8 0.500 0.500 0.500
Fe9 0.745 0.500 0.128
Fe10 0.749 0.247 0.752
Fe11 0.749 0.753 0.752
Fe12 0.758 0.000 0.376
O1 0.009 0.500 0.256
O2 0.010 0.000 0.244
O3 0.238 0.261 0.494
O4 0.238 0.739 0.494
O5 0.262 0.241 0.008
O6 0.262 0.759 0.008
O7 0.489 0.500 0.254
O8 0.497 0.000 0.241
O9 0.503 0.000 0.759
O10 0.511 0.500 0.746
O11 0.738 0.241 0.992
O12 0.738 0.759 0.992
O13 0.762 0.261 0.506
O14 0.762 0.739 0.506
O15 0.990 0.000 0.756
O16 0.991 0.500 0.744

# 10
This record from the Materials Project describes an optimized crystal structure of Fe3O4. The functional is PBE with a Hubbard U.

Density: 4.85 g/cm3
Magnetic moment: 56.00 μB per cell
Calculated formation energy: -1.57 eV/atom

Cell: 6.119 6.057 8.562 Å, 90.00 90.41 90.00°
Sites, in units of the cell vectors:
Fe1 0.000 0.000 0.000
Fe2 0.000 0.500 0.500
Fe3 0.245 0.000 0.628
Fe4 0.251 0.500 0.874
Fe5 0.252 0.252 0.253
Fe6 0.252 0.748 0.253
Fe7 0.500 0.000 0.000
Fe8 0.500 0.500 0.500
Fe9 0.748 0.252 0.747
Fe10 0.748 0.748 0.747
Fe11 0.749 0.500 0.126
Fe12 0.755 0.000 0.372
O1 0.005 0.500 0.259
O2 0.011 0.000 0.239
O3 0.241 0.261 0.497
O4 0.241 0.739 0.497
O5 0.249 0.230 0.004
O6 0.249 0.770 0.004
O7 0.489 0.500 0.246
O8 0.497 0.000 0.241
O9 0.503 0.000 0.759
O10 0.511 0.500 0.754
O11 0.751 0.230 0.996
O12 0.751 0.770 0.996
O13 0.759 0.261 0.503
O14 0.759 0.739 0.503
O15 0.989 0.000 0.761
O16 0.995 0.500 0.741

# 11
This record from the Materials Project describes an optimized crystal structure of Fe3O4. The functional is PBE with a Hubbard U.

Density: 4.84 g/cm3
Magnetic moment: 14.00 μB per cell
Calculated formation energy: -1.52 eV/atom

Cell: 5.143 3.059 5.226 Å, 90.00 105.12 90.00°
Sites, in units of the cell vectors:
Fe1 0.000 0.000 0.000
Fe2 0.000 0.500 0.500
Fe3 0.500 0.000 0.500
O1 0.213 0.000 0.718
O2 0.263 0.500 0.276
O3 0.737 0.500 0.724
O4 0.787 0.000 0.282

# 12
This record from the Materials Project describes an optimized crystal structure of Fe3O4. The functional is PBE with a Hubbard U.

Density: 4.86 g/cm3
Magnetic moment: 112.00 μB per cell
Calculated formation energy: -1.50 eV/atom

Cell: 5.924 16.133 6.617 Å, 90.00 90.00 90.00°
Sites, in units of the cell vectors:
Fe1 0.000 0.000 0.000
Fe2 0.000 0.000 0.500
Fe3 0.000 0.500 0.000
Fe4 0.000 0.500 0.500
Fe5 0.010 0.147 0.250
Fe6 0.010 0.353 0.750
Fe7 0.236 0.155 0.750
Fe8 0.236 0.345 0.250
Fe9 0.267 0.598 0.750
Fe10 0.267 0.902 0.250
Fe11 0.435 0.750 0.000
Fe12 0.435 0.750 0.500
Fe13 0.481 0.601 0.250
Fe14 0.481 0.899 0.750
Fe15 0.519 0.101 0.250
Fe16 0.519 0.399 0.750
Fe17 0.565 0.250 0.000
Fe18 0.565 0.250 0.500
Fe19 0.733 0.098 0.750
Fe20 0.733 0.402 0.250
Fe21 0.764 0.655 0.750
Fe22 0.764 0.845 0.250
Fe23 0.990 0.647 0.250
Fe24 0.990 0.853 0.750
O1 0.006 0.627 0.555
O2 0.006 0.627 0.945
O3 0.006 0.873 0.055
O4 0.006 0.873 0.445
O5 0.205 0.534 0.250
O6 0.205 0.966 0.750
O7 0.249 0.026 0.250
O8 0.249 0.474 0.750
O9 0.259 0.712 0.250
O10 0.259 0.788 0.750
O11 0.279 0.224 0.250
O12 0.279 0.276 0.750
O13 0.491 0.125 0.552
O14 0.491 0.125 0.948
O15 0.491 0.375 0.052
O16 0.491 0.375 0.448
O17 0.509 0.625 0.552
O18 0.509 0.625 0.948
O19 0.509 0.875 0.052
O20 0.509 0.875 0.448
O21 0.721 0.724 0.250
O22 0.721 0.776 0.750
O23 0.741 0.212 0.250
O24 0.741 0.288 0.750
O25 0.751 0.526 0.250
O26 0.751 0.974 0.750
O27 0.795 0.034 0.250
O28 0.795 0.466 0.750
O29 0.994 0.127 0.555
O30 0.994 0.127 0.945
O31 0.994 0.373 0.055
O32 0.994 0.373 0.445

# 13
This record from the Materials Project describes an optimized crystal structure of Fe4O13. The functional is PBE with a Hubbard U.

Density: 3.67 g/cm3
Magnetic moment: 14.00 μB per cell
Polymorph energy (0 for the lowest one): 0 meV per atom
Calculated formation energy: -0.33 eV/atom

Cell: 6.390 6.390 6.390 Å, 120.44 106.12 102.46°
Sites, in units of the cell vectors:
Fe1 0.000 0.000 0.500
Fe2 0.000 0.500 0.000
Fe3 0.500 0.000 0.000
Fe4 0.500 0.500 0.500
O1 0.000 0.000 0.000
O2 0.159 0.837 0.322
O3 0.197 0.392 0.589
O4 0.197 0.608 0.805
O5 0.293 0.185 0.892
O6 0.293 0.400 0.108
O7 0.484 0.163 0.322
O8 0.516 0.837 0.678
O9 0.707 0.600 0.892
O10 0.707 0.815 0.108
O11 0.803 0.392 0.195
O12 0.803 0.608 0.411
O13 0.841 0.163 0.678